An optimized crystal structure of Li9Mn2Co5O16, computed with GGA+U.

Properties
Mass density ... 4.31 g/cm³
Size of the total moment ... 8.0 μB/cell
SG ... No. 3

Cell: 5.023 9.702 5.789 Å, 90.00 90.00 99.19°
Positions (direct):
Li (0.253, 0.260, 0.253)
Li (0.747, 0.740, 0.253)
Li (0.763, 0.264, 0.504)
Li (0.237, 0.736, 0.504)
Li (0.252, 0.264, 0.747)
Li (0.748, 0.736, 0.747)
Li (0.751, 0.265, 0.996)
Li (0.249, 0.735, 0.996)
Li (0.000, 0.500, 0.748)
Mn (0.000, 0.000, 0.995)
Mn (0.500, 0.000, 0.252)
Co (0.500, 0.500, 0.987)
Co (0.000, 0.500, 0.257)
Co (0.000, 0.000, 0.498)
Co (0.500, 0.500, 0.497)
Co (0.500, 0.000, 0.752)
O (0.863, 0.107, 0.253)
O (0.358, 0.610, 0.258)
O (0.361, 0.111, 0.491)
O (0.863, 0.609, 0.482)
O (0.872, 0.109, 0.745)
O (0.394, 0.616, 0.739)
O (0.397, 0.120, 0.017)
O (0.863, 0.610, 0.022)
O (0.642, 0.390, 0.258)
O (0.137, 0.893, 0.253)
O (0.137, 0.391, 0.482)
O (0.639, 0.889, 0.491)
O (0.606, 0.384, 0.739)
O (0.128, 0.891, 0.745)
O (0.137, 0.390, 0.022)
O (0.603, 0.880, 0.017)

An optimized crystal structure of Li4Nb2V3Sn3O16, computed with GGA+U.

Properties
Mass density ... 4.89 g/cm³
Size of the total moment ... 9.0 μB/cell
SG ... No. 8

Cell: 6.248 6.248 9.862 Å, 89.34 89.34 59.60°
Positions (direct):
Li (0.672, 0.672, 0.899)
Li (0.990, 0.990, 0.987)
Li (0.999, 0.999, 0.498)
Li (0.330, 0.330, 0.404)
Nb (0.677, 0.677, 0.499)
Nb (0.349, 0.349, 0.979)
V (0.830, 0.830, 0.213)
V (0.660, 0.171, 0.711)
V (0.171, 0.660, 0.711)
Sn (0.831, 0.338, 0.214)
Sn (0.338, 0.831, 0.214)
Sn (0.171, 0.171, 0.717)
O (0.829, 0.345, 0.590)
O (0.514, 0.514, 0.342)
O (0.663, 0.663, 0.101)
O (0.000, 0.000, 0.313)
O (0.004, 0.004, 0.805)
O (0.345, 0.829, 0.590)
O (0.954, 0.513, 0.347)
O (0.513, 0.954, 0.347)
O (0.162, 0.162, 0.096)
O (0.830, 0.830, 0.589)
O (0.477, 0.042, 0.852)
O (0.042, 0.477, 0.852)
O (0.326, 0.326, 0.603)
O (0.663, 0.173, 0.093)
O (0.483, 0.483, 0.851)
O (0.173, 0.663, 0.093)

An optimized crystal structure of Li4Nb2Cr3Cu3O16, computed with GGA+U.

Properties
Mass density ... 4.54 g/cm³
Size of the total moment ... 10.4 μB/cell
SG ... No. 1

Cell: 5.997 5.846 9.773 Å, 89.98 86.60 119.16°
Positions (direct):
Li (0.323, 0.662, 0.899)
Li (0.998, 0.999, 0.993)
Li (0.009, 0.005, 0.488)
Li (0.680, 0.340, 0.404)
Nb (0.369, 0.685, 0.496)
Nb (0.668, 0.333, 0.989)
Cr (0.660, 0.829, 0.218)
Cr (0.827, 0.660, 0.716)
Cr (0.828, 0.168, 0.715)
Cu (0.175, 0.836, 0.213)
Cu (0.175, 0.339, 0.214)
Cu (0.336, 0.169, 0.714)
O (0.158, 0.826, 0.588)
O (0.057, 0.530, 0.332)
O (0.337, 0.669, 0.120)
O (0.000, 0.999, 0.299)
O (0.992, 0.996, 0.807)
O (0.158, 0.332, 0.588)
O (0.518, 0.978, 0.356)
O (0.514, 0.538, 0.355)
O (0.308, 0.153, 0.095)
O (0.672, 0.836, 0.604)
O (0.511, 0.478, 0.841)
O (0.512, 0.034, 0.841)
O (0.673, 0.337, 0.612)
O (0.790, 0.650, 0.085)
O (0.958, 0.479, 0.839)
O (0.792, 0.141, 0.086)

Taking the records one at a time from the top gives ΔH_f (0 K) values of -1834.9 -2396.4 -2125.9 meV per atom.
Taking the records one at a time from the top gives energy with MP2020 corrections values of -0.240 -0.280 -0.273 Ha/atom.
Taking the records one at a time from the top gives volume values of 278.5 332.0 298.5 Å³/cell.